(1)
The following is a PBE calculation of an optimized crystal structure of ScPaTc2, from the Materials Project.

It has space group Fm-3m (No. 225), with a = 6.681 Å, b = 6.681 Å, c = 6.681 Å, α = 90.00°, β = 90.00° and γ = 90.00°. The inequivalent atoms are Sc at (0.000, 0.000, 0.000), Pa at (0.000, 0.000, 0.500) and Tc at (0.250, 0.250, 0.250).

=====

(2)
The following is a PBE calculation of an optimized crystal structure of PaSe3, from the Materials Project.

It has space group P6_3/mmc (No. 194), with a = 6.1272 Å, b = 6.1272 Å, c = 5.2688 Å, α = 90.00°, β = 90.00° and γ = 120.00°. The inequivalent atoms are Pa at (0.3333, 0.6667, 0.2500) and Se at (0.1754, 0.3507, 0.7500).

=====

(3)
The following is a PBE calculation of an optimized crystal structure of PaSi3, from the Materials Project.

It has space group Pm-3m (No. 221), with a = 4.113 Å, b = 4.113 Å, c = 4.113 Å, α = 90.00°, β = 90.00° and γ = 90.00°. The inequivalent atoms are Pa at (0.000, 0.000, 0.000) and Si at (0.000, 0.500, 0.500).

=====

(4)
The following is a PBE calculation of an optimized crystal structure of PaSi3, from the Materials Project.

It has space group P6_3/mmc (No. 194), with a = 5.9104 Å, b = 5.9104 Å, c = 4.5135 Å, α = 90.00°, β = 90.00° and γ = 120.00°. The inequivalent atoms are Pa at (0.3333, 0.6667, 0.2500) and Si at (0.1439, 0.2877, 0.7500).

=====

(5)
The following is a PBE calculation of an optimized crystal structure of SmPa3, from the Materials Project.

It has space group Pm-3m (No. 221), with a = 4.726 Å, b = 4.726 Å, c = 4.726 Å, α = 90.00°, β = 90.00° and γ = 90.00°. The inequivalent atoms are Sm at (0.000, 0.000, 0.000) and Pa at (0.000, 0.500, 0.500).

=====

(6)
The following is a PBE calculation of an optimized crystal structure of SrPa3, from the Materials Project.

It has space group I4/mmm (No. 139), with a = 4.790 Å, b = 4.790 Å, c = 9.485 Å, α = 90.00°, β = 90.00° and γ = 90.00°. The inequivalent atoms are Sr at (0.000, 0.000, 0.000), Pa at (0.000, 0.000, 0.500) and Pa at (0.000, 0.500, 0.250).

=====

(7)
The following is a PBE calculation of an optimized crystal structure of Pa3Ta, from the Materials Project.

It has space group P6_3/mmc (No. 194), with a = 6.2599 Å, b = 6.2599 Å, c = 5.5682 Å, α = 90.00°, β = 90.00° and γ = 120.00°. The inequivalent atoms are Pa at (0.1728, 0.3457, 0.2500) and Ta at (0.3333, 0.6667, 0.7500).

=====

(8)
The following is a PBE calculation of an optimized crystal structure of PaTa, from the Materials Project.

It has space group P-6m2 (No. 187), with a = 3.0735 Å, b = 3.0735 Å, c = 5.3646 Å, α = 90.00°, β = 90.00° and γ = 120.00°. The inequivalent atoms are Pa at (0.0000, 0.0000, 0.0000) and Ta at (0.6667, 0.3333, 0.5000).

=====

(9)
The following is a PBE calculation of an optimized crystal structure of TbPa, from the Materials Project.

It has space group P-6m2 (No. 187), with a = 3.2965 Å, b = 3.2965 Å, c = 5.8260 Å, α = 90.00°, β = 90.00° and γ = 120.00°. The inequivalent atoms are Tb at (0.0000, 0.0000, 0.0000) and Pa at (0.3333, 0.6667, 0.5000).

=====

(10)
The following is a PBE calculation of an optimized crystal structure of Pa3Tc, from the Materials Project.

It has space group Fm-3m (No. 225), with a = 7.062 Å, b = 7.062 Å, c = 7.062 Å, α = 90.00°, β = 90.00° and γ = 90.00°. The inequivalent atoms are Pa at (0.000, 0.000, 0.000), Pa at (0.250, 0.250, 0.250) and Tc at (0.000, 0.000, 0.500).

=====

(11)
The following is a PBE calculation of an optimized crystal structure of ThPaTc2, from the Materials Project.

It has space group Fm-3m (No. 225), with a = 7.020 Å, b = 7.020 Å, c = 7.020 Å, α = 90.00°, β = 90.00° and γ = 90.00°. The inequivalent atoms are Th at (0.000, 0.000, 0.000), Pa at (0.000, 0.000, 0.500) and Tc at (0.250, 0.250, 0.250).

=====

(12)
The following is a PBE calculation of an optimized crystal structure of TmPaTc2, from the Materials Project.

It has space group Fm-3m (No. 225), with a = 6.816 Å, b = 6.816 Å, c = 6.816 Å, α = 90.00°, β = 90.00° and γ = 90.00°. The inequivalent atoms are Tm at (0.000, 0.000, 0.000), Pa at (0.000, 0.000, 0.500) and Tc at (0.250, 0.250, 0.250).

=====

(13)
The following is a PBE calculation of an optimized crystal structure of ZrPaTc2, from the Materials Project.

It has space group Fm-3m (No. 225), with a = 6.746 Å, b = 6.746 Å, c = 6.746 Å, α = 90.00°, β = 90.00° and γ = 90.00°. The inequivalent atoms are Zr at (0.000, 0.000, 0.000), Pa at (0.000, 0.000, 0.500) and Tc at (0.250, 0.250, 0.250).

=====

(14)
The following is a PBE calculation of an optimized crystal structure of PaTe3, from the Materials Project.

It has space group P6_3/mmc (No. 194), with a = 6.7021 Å, b = 6.7021 Å, c = 5.6607 Å, α = 90.00°, β = 90.00° and γ = 120.00°. The inequivalent atoms are Pa at (0.3333, 0.6667, 0.2500) and Te at (0.1756, 0.3511, 0.7500).

=====

(15)
The following is a PBE calculation of an optimized crystal structure of ThPa3, from the Materials Project.

It has space group Pm-3m (No. 221), with a = 4.737 Å, b = 4.737 Å, c = 4.737 Å, α = 90.00°, β = 90.00° and γ = 90.00°. The inequivalent atoms are Th at (0.000, 0.000, 0.000) and Pa at (0.000, 0.500, 0.500).

=====

(16)
The following is a PBE calculation of an optimized crystal structure of Th3Pa, from the Materials Project.

It has space group Pm-3m (No. 221), with a = 4.930 Å, b = 4.930 Å, c = 4.930 Å, α = 90.00°, β = 90.00° and γ = 90.00°. The inequivalent atoms are Th at (0.000, 0.000, 0.500) and Pa at (0.500, 0.500, 0.500).

=====

(17)
The following is a PBE calculation of an optimized crystal structure of PaTi3, from the Materials Project.

It has space group Fm-3m (No. 225), with a = 6.704 Å, b = 6.704 Å, c = 6.704 Å, α = 90.00°, β = 90.00° and γ = 90.00°. The inequivalent atoms are Pa at (0.000, 0.000, 0.000), Ti at (0.000, 0.000, 0.500) and Ti at (0.250, 0.250, 0.250).

=====

(18)
The following is a PBE calculation of an optimized crystal structure of Pa3Tl, from the Materials Project.

It has space group I4/mmm (No. 139), with a = 4.653 Å, b = 4.653 Å, c = 9.358 Å, α = 90.00°, β = 90.00° and γ = 90.00°. The inequivalent atoms are Pa at (0.000, 0.000, 0.000), Pa at (0.000, 0.500, 0.250) and Tl at (0.000, 0.000, 0.500).

=====

Number 1: DFT total energy -151.77 eV for the cell shown. Number 2: DFT total energy -46.83 eV for the cell shown. Number 3: DFT total energy -27.44 eV for the cell shown. Number 4: DFT total energy -54.76 eV for the cell shown. Number 5: DFT total energy -32.34 eV for the cell shown. Number 6: DFT total energy -55.42 eV for the cell shown. Number 7: DFT total energy -79.25 eV for the cell shown. Number 8: DFT total energy -20.81 eV for the cell shown. Number 9: DFT total energy -13.74 eV for the cell shown. Number 10: DFT total energy -153.64 eV for the cell shown. Number 11: DFT total energy -151.70 eV for the cell shown. Number 12: DFT total energy -142.29 eV for the cell shown. Number 13: DFT total energy -160.20 eV for the cell shown. Number 14: DFT total energy -41.29 eV for the cell shown. Number 15: DFT total energy -35.65 eV for the cell shown. Number 16: DFT total energy -31.50 eV for the cell shown. Number 17: DFT total energy -131.95 eV for the cell shown. Number 18: DFT total energy -60.41 eV for the cell shown.